Entry 1:
Density functional theory data (PBE-GGA) for Na42Ca20Ta4Si15S21O144 after structural relaxation.

## Properties
Formation enthalpy at 0 K: -2.615 eV/atom
Final energy: -1568.13 eV per cell

The structure in POSCAR format:
```
Na42Ca20Ta4Si15S21O144
1.0
9.4862 0.0000 0.0000
0.0172 16.3954 0.0000
0.0142 0.0422 22.8494
Na Ca Ta Si S O
42 20 4 15 21 144
Cartesian
0.0000 0.0000 0.0000
0.0167 11.2320 7.1168
0.1069 6.5623 22.4863
0.1538 6.1639 14.7329
0.2723 11.5264 22.3967
0.5272 6.0514 7.5388
1.3471 3.1583 5.1754
1.6925 8.7110 20.8026
1.7762 14.5580 13.0236
1.8578 8.5954 9.4451
1.8533 14.2795 1.5576
2.2253 3.1259 16.4765
2.9711 6.0796 18.5199
3.1847 11.4790 11.0971
3.2061 0.1510 3.1369
3.4144 6.5095 11.4585
3.5370 0.1179 11.5328
3.5680 0.5919 18.6459
3.5878 11.5805 18.5145
3.5971 6.1432 3.0842
4.6344 14.3202 15.1371
4.7075 8.3502 0.0439
4.7805 2.9975 7.2146
4.7961 9.0787 7.1641
4.8715 14.6869 22.4811
5.0814 3.2532 22.3642
5.0917 8.4333 14.7137
5.3496 14.2491 7.1133
6.1056 11.4349 4.9919
6.3016 0.1831 20.6517
6.4174 6.1384 13.0779
6.4906 6.3540 1.5340
6.5987 0.4188 9.4456
6.6826 11.6757 16.8370
7.6270 14.2301 18.9559
7.9943 3.2687 11.1681
8.1283 14.3223 3.1609
8.2020 14.7279 11.1751
8.2470 3.0080 18.5257
8.2599 9.1326 18.6340
8.2651 8.2398 11.5191
9.4622 0.8801 7.2108
1.6424 8.7264 16.8764
1.6792 3.2623 8.8823
1.7330 8.7465 12.6712
1.7429 8.7656 1.2382
1.7830 14.3306 16.3832
1.8087 14.2380 4.8536
1.8332 14.3513 21.0061
1.8549 14.3406 9.6766
1.8528 3.3202 20.2115
1.9486 8.8179 5.4411
6.3115 0.5560 16.9741
6.4367 6.1569 21.0872
6.4365 11.5122 8.8229
6.4741 6.0540 16.2926
6.5056 0.5603 12.7033
6.5225 0.5129 1.2017
6.5405 6.1280 9.6845
6.5609 11.5294 20.2374
6.5688 6.1110 4.8756
6.6484 0.4676 5.3947
1.7317 3.2799 13.2728
1.8171 3.2276 1.8056
6.4560 11.4508 13.2278
6.5253 11.4513 1.8438
0.0174 0.6591 3.4388
0.3093 0.8614 10.9349
0.3346 5.7567 10.9785
3.1840 5.8034 22.4435
3.1794 6.1559 14.8240
3.2383 0.8511 22.3605
3.4931 0.6037 14.7977
4.7218 14.2228 18.6323
4.7731 8.7749 3.4227
5.0400 9.0425 10.9175
5.1134 13.9795 10.9839
5.1089 14.3246 3.4382
7.9523 9.0858 22.3544
7.9926 13.9648 22.4426
8.2541 8.8647 14.8399
0.1453 11.2985 3.3950
0.2578 0.4021 18.6728
0.4006 6.1113 3.3980
0.4217 11.7298 18.6881
3.1315 11.7169 7.3017
3.2732 0.3639 7.2027
3.3467 11.3261 14.7302
3.6375 6.0056 7.1986
3.7533 11.5317 22.5056
4.5311 3.3286 11.0344
4.9070 3.1071 3.3734
4.9806 8.5364 18.6316
5.1347 3.5757 18.7293
7.8733 3.5502 7.2438
7.9178 14.3022 14.7474
8.0426 8.5323 7.2478
8.1177 3.1352 14.7938
8.4145 14.2250 7.2582
8.5227 3.3855 22.4993
9.2616 11.5412 11.0490
9.3665 6.0510 18.6818
0.0514 8.6381 7.1233
0.0836 8.9841 22.5680
0.0671 3.3408 0.7751
0.1330 13.9411 22.6502
0.1488 3.1970 14.6565
0.4413 10.5730 4.6615
0.4702 12.8406 11.1277
0.5466 16.0901 19.9451
0.5747 1.4846 9.4609
0.5897 12.7112 3.4706
0.6766 6.9018 2.1876
0.7115 10.4288 11.2295
0.7327 4.8224 18.6500
0.7232 10.6337 2.2464
0.7458 7.2720 18.7017
0.8219 12.5696 17.5482
0.8215 16.0387 17.5418
0.8292 12.3639 19.9682
0.8351 5.1388 9.5654
0.8761 1.7734 18.6445
0.9430 4.7302 12.1914
0.9447 7.2641 11.1037
0.9538 1.9663 12.0660
0.9591 6.7845 4.6007
0.9946 2.0483 3.1181
1.0625 15.7864 3.4272
1.0781 15.8211 11.1790
1.1024 10.3934 18.6193
1.1457 4.7817 3.3037
2.4076 6.7107 16.1682
2.4307 4.6635 14.4918
2.4897 15.8529 22.6772
2.4906 10.3579 7.2251
2.5296 1.9543 14.4216
2.5709 7.3045 22.5843
2.5666 4.7566 0.8925
2.5880 15.6591 14.8113
2.6007 1.9014 0.7849
2.6232 5.1565 21.0794
2.6713 12.5508 6.1815
2.6710 1.7380 7.2146
2.7226 12.3220 8.5917
2.7232 7.2008 7.1587
2.7736 16.0518 6.0168
2.7964 12.6680 14.8500
2.8078 4.7607 7.2123
2.8420 10.3855 22.6854
2.8625 1.5872 20.9898
2.8649 10.6635 13.5102
2.9165 7.1685 13.5798
2.9597 16.0055 8.4349
3.0148 12.8006 22.5794
3.1338 10.4811 15.9271
3.3736 3.2198 3.2330
3.4305 9.0284 11.0888
3.4859 13.9255 11.1944
3.4945 8.6845 18.5628
3.5038 14.1333 3.5088
3.5092 3.3435 12.1322
3.6504 3.4228 18.6228
3.6600 8.5349 2.2606
3.7686 14.1109 17.3057
3.8000 14.3535 19.9908
3.8492 3.1561 9.7344
4.0721 9.0445 4.8864
4.2345 0.8991 16.2238
4.4652 11.3516 21.2325
4.4697 6.1096 8.4222
4.4949 5.9636 5.9999
4.5387 0.4296 13.5716
4.6178 11.5749 7.1957
4.7507 11.5068 0.7832
4.7641 0.5097 7.1374
4.7829 5.9668 14.9120
4.8108 5.7449 22.6519
4.8473 0.8208 22.5155
4.8853 11.4717 14.6127
5.1255 2.2897 4.5881
5.2490 4.6237 11.0979
5.2945 7.7522 19.8527
5.3957 15.3883 2.2459
5.4005 4.4834 3.5192
5.4176 9.7087 9.5014
5.4394 2.4682 2.1730
5.4702 2.2084 11.2167
5.4871 7.8250 17.4357
5.5303 4.1732 20.0324
5.5693 4.4517 17.6295
5.6107 9.8835 18.6569
5.6292 13.3733 9.5743
5.6710 12.8576 18.5920
5.6851 15.5805 18.6045
5.6825 10.1232 12.1535
5.6828 7.4160 3.3946
5.7190 10.1148 3.0400
5.7426 12.9299 12.2140
5.7423 15.4700 11.1481
5.7707 7.6174 11.2257
5.8027 2.2479 18.6293
5.8500 12.8336 3.0944
5.8597 14.8312 4.8217
7.1713 12.9692 14.6365
7.2080 7.6456 22.6015
7.2272 7.5921 14.8448
7.2231 2.2022 7.1847
7.2633 10.2366 14.5067
7.2989 14.9829 15.9143
7.2936 10.1230 0.6736
7.3577 15.4643 22.5448
7.3616 12.9033 0.8441
7.4538 4.1939 8.5161
7.4513 4.3751 6.1028
7.4667 7.8034 6.1099
7.4726 9.9145 7.2475
7.4861 13.3154 21.0591
7.5460 2.4893 13.6126
7.5515 15.4498 7.2743
7.5636 12.9928 7.2301
7.5843 2.2872 22.6988
7.6718 9.7241 20.9020
7.6695 4.5428 14.8793
7.6842 15.0811 13.5132
7.7534 7.8051 8.5076
7.8238 2.3861 16.0363
7.8474 4.6937 22.5752
8.1123 11.3455 3.2716
8.1804 0.7696 11.1519
8.1859 5.7221 11.1747
8.2334 11.5358 12.1740
8.2656 0.5734 18.5430
8.4277 11.5436 18.6214
8.4574 5.8389 3.5124
8.4845 0.4625 2.2081
8.5154 6.0263 17.4751
8.5262 6.0726 19.9063
8.5565 11.3663 9.7702
8.7828 0.9280 4.8807
9.0356 9.0944 16.2454
9.2315 3.2014 21.2211
9.2360 8.6511 13.5760
9.2560 14.2479 8.4808
9.2642 14.1986 6.0519
9.3368 14.0328 14.9128
9.3661 3.4073 7.1738
```

Entry 2:
Density functional theory data (PBE-GGA) for CuH14C3NCl3O2 after structural relaxation.

## Properties
Formation enthalpy at 0 K: -0.542 eV/atom
Final energy: -458.82 eV per cell

The structure in POSCAR format:
```
CuH14C3NCl3O2
1.0
7.6780 0.0000 0.0000
0.0000 7.9286 0.0000
-0.7945 0.0000 16.9505
Cu H C N Cl O
4 56 12 4 12 8
Cartesian
0.0000 0.0000 0.0000
-0.3973 3.9643 8.4752
3.8390 0.0000 0.0000
3.4417 3.9643 8.4752
-0.4199 1.7896 11.6873
-0.0226 2.1747 3.2120
0.1152 1.5184 9.1293
0.5124 2.4458 0.6540
0.0758 5.5173 12.1547
0.4731 6.3756 3.6794
0.7508 5.4627 0.3193
0.3535 6.4302 8.7945
0.5680 4.7982 4.5418
0.1707 7.0947 13.0171
0.7822 0.0688 6.2925
0.3849 3.8955 14.7677
1.6294 0.4213 4.7442
1.2321 3.5430 13.2194
1.7880 5.8203 6.2754
1.3907 6.0726 14.7507
2.5741 0.1467 6.2465
2.1769 3.8176 14.7217
2.5246 5.4037 12.1038
3.0838 5.4534 0.2454
2.6865 6.4395 8.7206
2.9219 6.4891 3.6285
2.9823 4.9073 4.4819
2.5850 6.9856 12.9571
2.8978 1.5080 9.1338
3.2951 2.4563 0.6585
3.0464 1.6050 11.7730
3.4437 2.3593 3.2978
3.4398 5.5693 13.6527
3.8371 6.3236 5.1775
3.5884 5.4723 16.2919
3.9856 6.4206 7.8167
4.2984 0.9430 3.9934
3.9012 3.0213 12.4686
3.9616 1.4395 13.3220
4.1970 1.4891 8.2299
3.7997 2.4752 16.7051
4.3588 2.5248 4.8467
4.7066 4.1110 2.2288
4.3093 7.7818 10.7040
5.4927 1.8560 2.1998
5.0955 2.1083 10.6750
5.6514 4.3856 3.7310
5.2541 7.5073 12.2063
6.4985 4.0331 2.1828
6.1013 7.8598 10.6580
6.7128 0.8339 3.9334
6.3155 3.1304 12.4086
6.5299 1.4984 8.1559
6.1327 2.4659 16.6312
6.4104 1.5530 13.2711
6.8077 2.4113 4.7958
6.3710 5.4827 16.2965
6.7683 6.4101 7.8212
6.9061 5.7539 13.7385
7.3034 6.1390 5.2632
0.5022 5.8836 4.6591
0.1050 6.0093 13.1344
1.2766 4.0943 14.1650
1.6739 7.7986 5.6897
2.5657 5.8992 13.0801
2.9630 5.9937 4.6049
3.9205 1.9349 12.3456
4.3177 2.0294 3.8703
5.2096 0.1300 11.2608
5.6069 3.8343 2.7855
6.7785 1.9193 3.8161
6.3813 2.0450 12.2914
1.3325 5.5528 13.8515
1.7298 6.3401 5.3762
5.1537 1.5885 11.5743
5.5509 2.3758 3.0990
1.1346 4.0210 10.1569
1.5319 7.8718 1.6816
1.5023 0.0377 9.7991
1.8995 3.9266 1.3238
1.6367 0.6303 15.2508
2.0340 3.3340 6.7756
4.8495 4.5945 10.1749
5.2468 7.2983 1.6997
4.9839 4.0020 15.6267
5.3812 7.8909 7.1514
5.3516 0.0568 15.2688
5.7489 3.9075 6.7936
-0.0893 5.9032 8.0764
-0.4866 5.9897 16.5516
3.1349 5.9286 7.9947
2.7377 5.9643 16.4700
4.1458 1.9643 0.4805
3.7485 2.0000 8.9557
7.3701 1.9389 0.3989
6.9728 2.0254 8.8741
```

Entry 3:
Density functional theory data (PBE-GGA) for BaCdP4O12 after structural relaxation.

## Properties
Formation enthalpy at 0 K: -2.720 eV/atom
Final energy: -498.34 eV per cell

The structure in POSCAR format:
```
BaCdP4O12
1.0
7.3509 0.0000 0.0000
0.0000 9.4119 0.0000
-7.1677 0.0000 15.1877
Ba Cd P O
4 4 16 48
Cartesian
0.1340 1.0141 2.0182
-3.4498 3.6918 9.6120
3.6330 5.7201 5.5756
0.0492 8.3978 13.1695
-3.4963 6.8633 12.7965
0.0875 7.2546 5.2027
0.0956 2.1574 9.9850
3.6795 2.5486 2.3911
-1.7184 0.9431 4.8992
-5.3022 3.7628 12.4930
1.7639 7.0577 0.6197
-1.8199 7.0602 8.2135
1.0336 4.8997 2.6362
-2.5503 9.2182 10.2301
-4.4586 1.5755 14.3036
-0.8748 3.1305 6.7098
1.0579 6.2814 8.4779
4.6418 7.8365 0.8841
2.7335 0.1937 4.9576
-0.8504 4.5122 12.5514
2.0031 2.3517 6.9741
-1.5807 2.3542 14.5680
5.4854 5.6491 2.6947
1.9016 8.4688 10.2885
-1.6373 6.6327 3.8136
-5.2211 7.4852 11.4074
-0.5532 4.7925 2.3588
-4.1370 9.3254 9.9526
-2.9594 6.1482 8.5579
0.6245 7.9697 0.9641
-4.9986 0.4538 13.4924
-1.4148 4.2521 5.8986
-1.5215 1.6946 6.3061
-5.1053 3.0113 13.8999
-5.1983 6.7995 14.3372
-1.6144 7.3184 6.7434
-0.5577 0.0103 4.6578
-4.1415 4.6957 12.2516
1.5946 5.6047 1.3015
-1.9893 8.5132 8.8954
-2.0614 1.2281 10.1812
1.5225 3.4779 2.5874
2.5747 1.5075 0.6216
-1.0091 3.1985 8.2154
1.3131 5.7276 3.8613
-2.2708 8.3903 11.4551
-2.9113 1.7900 13.8636
0.6726 2.9160 6.2697
-0.4894 6.4960 8.9179
3.0945 7.6219 1.3241
2.4540 1.0217 3.7326
-1.1299 3.6843 11.3264
1.1923 6.2134 6.9722
-2.3915 7.9044 14.5661
-1.3393 5.9340 12.6003
2.2445 8.1839 5.0064
2.1724 0.8987 6.2923
-1.4114 3.8073 13.8861
4.3247 4.7162 2.9361
0.7409 9.4016 10.5299
1.7976 2.0935 8.4443
5.3814 2.6124 0.8505
5.2885 6.4006 1.2877
1.7047 7.7173 8.8816
1.5979 5.1598 9.2891
5.1818 8.9581 1.6952
-0.4413 1.4423 14.2236
3.1426 3.2637 6.6298
4.3202 0.0865 5.2351
0.7363 4.6195 12.8289
5.4043 1.9267 3.7803
1.8204 2.7793 11.3741
```

What is the formula in the first record?
Na42Ca20Ta4Si15S21O144

Please write out number 2 again, unchanged.
Density functional theory data (PBE-GGA) for CuH14C3NCl3O2 after structural relaxation.

## Properties
Formation enthalpy at 0 K: -0.542 eV/atom
Final energy: -458.82 eV per cell

The structure in POSCAR format:
```
CuH14C3NCl3O2
1.0
7.6780 0.0000 0.0000
0.0000 7.9286 0.0000
-0.7945 0.0000 16.9505
Cu H C N Cl O
4 56 12 4 12 8
Cartesian
0.0000 0.0000 0.0000
-0.3973 3.9643 8.4752
3.8390 0.0000 0.0000
3.4417 3.9643 8.4752
-0.4199 1.7896 11.6873
-0.0226 2.1747 3.2120
0.1152 1.5184 9.1293
0.5124 2.4458 0.6540
0.0758 5.5173 12.1547
0.4731 6.3756 3.6794
0.7508 5.4627 0.3193
0.3535 6.4302 8.7945
0.5680 4.7982 4.5418
0.1707 7.0947 13.0171
0.7822 0.0688 6.2925
0.3849 3.8955 14.7677
1.6294 0.4213 4.7442
1.2321 3.5430 13.2194
1.7880 5.8203 6.2754
1.3907 6.0726 14.7507
2.5741 0.1467 6.2465
2.1769 3.8176 14.7217
2.5246 5.4037 12.1038
3.0838 5.4534 0.2454
2.6865 6.4395 8.7206
2.9219 6.4891 3.6285
2.9823 4.9073 4.4819
2.5850 6.9856 12.9571
2.8978 1.5080 9.1338
3.2951 2.4563 0.6585
3.0464 1.6050 11.7730
3.4437 2.3593 3.2978
3.4398 5.5693 13.6527
3.8371 6.3236 5.1775
3.5884 5.4723 16.2919
3.9856 6.4206 7.8167
4.2984 0.9430 3.9934
3.9012 3.0213 12.4686
3.9616 1.4395 13.3220
4.1970 1.4891 8.2299
3.7997 2.4752 16.7051
4.3588 2.5248 4.8467
4.7066 4.1110 2.2288
4.3093 7.7818 10.7040
5.4927 1.8560 2.1998
5.0955 2.1083 10.6750
5.6514 4.3856 3.7310
5.2541 7.5073 12.2063
6.4985 4.0331 2.1828
6.1013 7.8598 10.6580
6.7128 0.8339 3.9334
6.3155 3.1304 12.4086
6.5299 1.4984 8.1559
6.1327 2.4659 16.6312
6.4104 1.5530 13.2711
6.8077 2.4113 4.7958
6.3710 5.4827 16.2965
6.7683 6.4101 7.8212
6.9061 5.7539 13.7385
7.3034 6.1390 5.2632
0.5022 5.8836 4.6591
0.1050 6.0093 13.1344
1.2766 4.0943 14.1650
1.6739 7.7986 5.6897
2.5657 5.8992 13.0801
2.9630 5.9937 4.6049
3.9205 1.9349 12.3456
4.3177 2.0294 3.8703
5.2096 0.1300 11.2608
5.6069 3.8343 2.7855
6.7785 1.9193 3.8161
6.3813 2.0450 12.2914
1.3325 5.5528 13.8515
1.7298 6.3401 5.3762
5.1537 1.5885 11.5743
5.5509 2.3758 3.0990
1.1346 4.0210 10.1569
1.5319 7.8718 1.6816
1.5023 0.0377 9.7991
1.8995 3.9266 1.3238
1.6367 0.6303 15.2508
2.0340 3.3340 6.7756
4.8495 4.5945 10.1749
5.2468 7.2983 1.6997
4.9839 4.0020 15.6267
5.3812 7.8909 7.1514
5.3516 0.0568 15.2688
5.7489 3.9075 6.7936
-0.0893 5.9032 8.0764
-0.4866 5.9897 16.5516
3.1349 5.9286 7.9947
2.7377 5.9643 16.4700
4.1458 1.9643 0.4805
3.7485 2.0000 8.9557
7.3701 1.9389 0.3989
6.9728 2.0254 8.8741
```